Density functional theory data (PBE) for a relaxed structure of RbTeAu.

Properties
The formation energy comes out at -683.4 meV/atom.

Cell and atoms, written as POSCAR:
```
RbTeAu
1.0
6.0054 0.0000 0.0000
0.0000 5.2522 0.0000
0.0000 0.0000 7.3964
Rb Te Au
2 2 2
Cartesian
1.5014 0.0000 1.5607
4.5041 0.0000 5.8357
1.5014 2.6261 5.8814
4.5041 2.6261 1.5150
0.0000 2.6261 3.6982
3.0027 2.6261 3.6982
```

Density functional theory data (PBE) for a relaxed structure of RbUTe3Au.

Properties
The total moment comes out at 4.0 μB per cell. The formation energy comes out at -722.2 meV/atom.

Cell and atoms, written as POSCAR:
```
RbUTe3Au
1.0
2.2141 -8.2967 0.0000
2.2141 8.2967 0.0000
0.0000 0.0000 11.4290
Rb U Te Au
2 2 6 2
Cartesian
2.2141 4.2212 8.5718
2.2141 -4.2212 2.8573
0.0000 0.0000 0.0000
0.0000 0.0000 5.7145
2.2141 7.1506 2.8573
2.2141 2.0996 0.5278
2.2141 2.0996 5.1867
2.2141 -2.0996 6.2423
2.2141 -2.0996 10.9012
2.2141 -7.1506 8.5718
2.2141 0.6077 2.8573
2.2141 -0.6077 8.5718
```

Q: Which of these has the highest formation energy?
A: RbTeAu

Q: Which of these has the highest formation energy?
A: RbTeAu

Q: What is the formula in the first record?
A: RbTeAu